Below is a relaxed structure of K2Mn2P2O7F2, with properties calculated at the GGA+U level.

The structure in CIF format:
```
data_K2Mn2P2O7F2
_cell_length_a 6.993
_cell_length_b 10.811
_cell_length_c 11.466
_cell_angle_alpha 90.00
_cell_angle_beta 90.00
_cell_angle_gamma 90.00
_space_group_name_H-M_alt 'P 1'
_space_group_IT_number 1
_space_group_name_Hall 'P 1'
loop_
_atom_site_label
_atom_site_type_symbol
_atom_site_fract_x
_atom_site_fract_y
_atom_site_fract_z
F1 F 0.617 0.571 0.656
F2 F 0.117 0.429 0.844
F3 F 0.883 0.571 0.156
F4 F 0.617 0.071 0.344
F5 F 0.383 0.429 0.344
F6 F 0.383 0.929 0.656
F7 F 0.883 0.071 0.844
F8 F 0.117 0.929 0.156
P1 P 0.216 0.751 0.422
P2 P 0.784 0.249 0.578
P3 P 0.284 0.251 0.078
P4 P 0.716 0.749 0.922
P5 P 0.216 0.251 0.578
P6 P 0.784 0.749 0.422
P7 P 0.716 0.249 0.078
P8 P 0.284 0.751 0.922
O1 O 0.276 0.387 0.584
O2 O 0.298 0.190 0.198
O3 O 0.175 0.173 0.987
O4 O 0.776 0.113 0.084
O5 O 0.202 0.190 0.698
O6 O 0.224 0.387 0.084
O7 O 0.500 0.250 0.020
O8 O 0.325 0.673 0.513
O9 O 0.298 0.690 0.802
O10 O 0.798 0.310 0.698
O11 O 0.202 0.690 0.302
O12 O 0.724 0.113 0.584
O13 O 0.776 0.613 0.916
O14 O 0.702 0.810 0.802
O15 O 0.000 0.250 0.520
O16 O 0.175 0.673 0.013
O17 O 0.500 0.750 0.980
O18 O 0.798 0.810 0.302
O19 O 0.675 0.327 0.487
O20 O 0.825 0.327 0.987
O21 O 0.224 0.887 0.916
O22 O 0.675 0.827 0.513
O23 O 0.000 0.750 0.480
O24 O 0.724 0.613 0.416
O25 O 0.276 0.887 0.416
O26 O 0.325 0.173 0.487
O27 O 0.825 0.827 0.013
O28 O 0.702 0.310 0.198
Mn1 Mn 0.000 0.000 0.000
Mn2 Mn 0.500 0.750 0.666
Mn3 Mn 0.000 0.250 0.834
Mn4 Mn 0.500 0.000 0.500
Mn5 Mn 0.000 0.500 0.000
Mn6 Mn 0.500 0.250 0.334
Mn7 Mn 0.500 0.500 0.500
Mn8 Mn 0.000 0.750 0.166
K1 K 0.000 0.436 0.327
K2 K 0.000 0.936 0.673
K3 K 0.000 0.564 0.673
K4 K 0.000 0.064 0.327
K5 K 0.500 0.936 0.173
K6 K 0.500 0.564 0.173
K7 K 0.500 0.064 0.827
K8 K 0.500 0.436 0.827
```


# K2MnSO4F3 (GGA+U, optimized geometry)
data_K2MnSO4F3
_cell_length_a 7.460
_cell_length_b 8.531
_cell_length_c 10.988
_cell_angle_alpha 90.00
_cell_angle_beta 90.00
_cell_angle_gamma 90.00
_space_group_name_H-M_alt 'P 1'
_space_group_IT_number 1
_space_group_name_Hall 'P 1'
loop_
_atom_site_label
_atom_site_type_symbol
_atom_site_fract_x
_atom_site_fract_y
_atom_site_fract_z
K1 K 0.312 0.330 0.191
K2 K 0.188 0.330 0.809
K3 K 0.812 0.670 0.191
K4 K 0.188 0.830 0.691
K5 K 0.688 0.670 0.809
K6 K 0.688 0.170 0.691
K7 K 0.812 0.170 0.309
K8 K 0.312 0.830 0.309
Mn1 Mn 0.000 0.500 0.500
Mn2 Mn 0.500 0.000 0.000
Mn3 Mn 0.000 0.000 0.000
Mn4 Mn 0.500 0.500 0.500
S1 S 0.250 0.192 0.500
S2 S 0.250 0.692 0.000
S3 S 0.750 0.308 0.000
S4 S 0.750 0.808 0.500
F1 F 0.025 0.942 0.163
F2 F 0.250 0.618 0.500
F3 F 0.975 0.058 0.837
F4 F 0.750 0.882 0.000
F5 F 0.025 0.442 0.337
F6 F 0.975 0.558 0.663
F7 F 0.250 0.118 0.000
F8 F 0.525 0.558 0.337
F9 F 0.750 0.382 0.500
F10 F 0.475 0.942 0.837
F11 F 0.475 0.442 0.663
F12 F 0.525 0.058 0.163
O1 O 0.834 0.901 0.596
O2 O 0.334 0.099 0.596
O3 O 0.334 0.599 0.904
O4 O 0.389 0.797 0.061
O5 O 0.611 0.703 0.561
O6 O 0.111 0.297 0.561
O7 O 0.666 0.401 0.096
O8 O 0.611 0.203 0.939
O9 O 0.666 0.901 0.404
O10 O 0.834 0.401 0.904
O11 O 0.166 0.599 0.096
O12 O 0.166 0.099 0.404
O13 O 0.889 0.703 0.439
O14 O 0.889 0.203 0.061
O15 O 0.111 0.797 0.939
O16 O 0.389 0.297 0.439
# Total magnetic moment   15.997 μB/cell


# K2MnSO4F3 (GGA+U, optimized geometry)
data_K2MnSO4F3
_cell_length_a 11.023
_cell_length_b 7.402
_cell_length_c 8.617
_cell_angle_alpha 87.58
_cell_angle_beta 90.00
_cell_angle_gamma 90.00
_space_group_name_H-M_alt 'P 1'
_space_group_IT_number 1
_space_group_name_Hall 'P 1'
loop_
_atom_site_label
_atom_site_type_symbol
_atom_site_fract_x
_atom_site_fract_y
_atom_site_fract_z
O1 O 0.092 0.659 0.595
O2 O 0.908 0.341 0.405
O3 O 0.560 0.606 0.300
O4 O 0.400 0.171 0.903
O5 O 0.408 0.659 0.095
O6 O 0.561 0.114 0.715
O7 O 0.592 0.341 0.905
O8 O 0.060 0.394 0.200
O9 O 0.600 0.829 0.097
O10 O 0.439 0.886 0.285
O11 O 0.939 0.114 0.215
O12 O 0.440 0.394 0.700
O13 O 0.061 0.886 0.785
O14 O 0.100 0.171 0.403
O15 O 0.900 0.829 0.597
O16 O 0.940 0.606 0.800
Mn1 Mn 0.500 0.500 0.500
Mn2 Mn 0.000 0.500 0.000
Mn3 Mn 0.500 0.000 0.500
Mn4 Mn 0.000 0.000 0.000
K1 K 0.193 0.816 0.335
K2 K 0.693 0.184 0.165
K3 K 0.307 0.816 0.835
K4 K 0.193 0.312 0.667
K5 K 0.693 0.688 0.833
K6 K 0.807 0.688 0.333
K7 K 0.307 0.312 0.167
K8 K 0.807 0.184 0.665
F1 F 0.337 0.023 0.554
F2 F 0.663 0.977 0.446
F3 F 0.837 0.977 0.946
F4 F 0.837 0.477 0.061
F5 F 0.337 0.523 0.439
F6 F 0.163 0.523 0.939
F7 F 0.163 0.023 0.054
F8 F 0.663 0.477 0.561
F9 F 0.500 0.763 0.610
F10 F 0.000 0.763 0.110
F11 F 0.500 0.237 0.390
F12 F 0.000 0.237 0.890
S1 S 0.000 0.748 0.689
S2 S 0.500 0.252 0.811
S3 S 0.500 0.748 0.189
S4 S 0.000 0.252 0.311
# Total magnetic moment   15.996 μB/cell


# KRb2MnF6 (GGA+U, optimized geometry)
data_KRb2MnF6
_cell_length_a 6.383
_cell_length_b 6.383
_cell_length_c 6.383
_cell_angle_alpha 60.00
_cell_angle_beta 60.00
_cell_angle_gamma 60.00
_space_group_name_H-M_alt 'P 1'
_space_group_IT_number 1
_space_group_name_Hall 'P 1'
loop_
_atom_site_label
_atom_site_type_symbol
_atom_site_fract_x
_atom_site_fract_y
_atom_site_fract_z
K1 K 0.500 0.500 0.500
F1 F 0.783 0.217 0.783
F2 F 0.783 0.217 0.217
F3 F 0.217 0.783 0.783
F4 F 0.217 0.783 0.217
F5 F 0.217 0.217 0.783
F6 F 0.783 0.783 0.217
Mn1 Mn 0.000 0.000 0.000
Rb1 Rb 0.250 0.250 0.250
Rb2 Rb 0.750 0.750 0.750
# Total magnetic moment   4.000 μB/cell


# KRb2MnF6 (GGA+U, optimized geometry)
data_KRb2MnF6
_cell_length_a 6.297
_cell_length_b 6.297
_cell_length_c 6.453
_cell_angle_alpha 119.20
_cell_angle_beta 119.20
_cell_angle_gamma 90.00
_space_group_name_H-M_alt 'P 1'
_space_group_IT_number 1
_space_group_name_Hall 'P 1'
loop_
_atom_site_label
_atom_site_type_symbol
_atom_site_fract_x
_atom_site_fract_y
_atom_site_fract_z
F1 F 0.774 0.774 0.547
F2 F 0.215 0.785 0.000
F3 F 0.226 0.226 0.453
F4 F 0.785 0.785 0.000
F5 F 0.215 0.215 0.000
F6 F 0.785 0.215 0.000
Rb1 Rb 0.750 0.250 0.500
Rb2 Rb 0.250 0.750 0.500
K1 K 0.500 0.500 0.000
Mn1 Mn 0.000 0.000 0.000
# Total magnetic moment   4.000 μB/cell


# K3RbMn2F12 (GGA+U, optimized geometry)
data_K3RbMn2F12
_cell_length_a 5.985
_cell_length_b 8.461
_cell_length_c 5.985
_cell_angle_alpha 90.00
_cell_angle_beta 90.00
_cell_angle_gamma 90.00
_space_group_name_H-M_alt 'P 1'
_space_group_IT_number 1
_space_group_name_Hall 'P 1'
loop_
_atom_site_label
_atom_site_type_symbol
_atom_site_fract_x
_atom_site_fract_y
_atom_site_fract_z
F1 F 0.217 0.998 0.781
F2 F 0.783 0.998 0.219
F3 F 0.217 0.998 0.219
F4 F 0.783 0.998 0.781
F5 F 0.000 0.781 0.000
F6 F 0.719 0.502 0.283
F7 F 0.500 0.283 0.500
F8 F 0.500 0.719 0.500
F9 F 0.281 0.502 0.717
F10 F 0.719 0.502 0.717
F11 F 0.281 0.502 0.283
F12 F 0.000 0.217 0.000
K1 K 0.500 0.750 0.000
K2 K 0.000 0.250 0.500
K3 K 0.000 0.750 0.500
Rb1 Rb 0.500 0.250 0.000
Mn1 Mn 0.500 0.501 0.500
Mn2 Mn 0.000 0.999 0.000
# Total magnetic moment   6.004 μB/cell


# K2RbMnF6 (GGA+U, optimized geometry)
data_K2RbMnF6
_cell_length_a 6.471
_cell_length_b 6.471
_cell_length_c 6.471
_cell_angle_alpha 60.00
_cell_angle_beta 60.00
_cell_angle_gamma 60.00
_space_group_name_H-M_alt 'P 1'
_space_group_IT_number 1
_space_group_name_Hall 'P 1'
loop_
_atom_site_label
_atom_site_type_symbol
_atom_site_fract_x
_atom_site_fract_y
_atom_site_fract_z
K1 K 0.750 0.750 0.750
K2 K 0.250 0.250 0.250
F1 F 0.214 0.214 0.786
F2 F 0.786 0.214 0.786
F3 F 0.786 0.786 0.214
F4 F 0.214 0.786 0.786
F5 F 0.214 0.786 0.214
F6 F 0.786 0.214 0.214
Mn1 Mn 0.000 0.000 0.000
Rb1 Rb 0.500 0.500 0.500
# Total magnetic moment   4.000 μB/cell


# KNa2MoF6 (GGA+U, optimized geometry)
data_KNa2MoF6
_cell_length_a 6.413
_cell_length_b 6.413
_cell_length_c 6.413
_cell_angle_alpha 60.00
_cell_angle_beta 60.00
_cell_angle_gamma 60.00
_space_group_name_H-M_alt 'P 1'
_space_group_IT_number 1
_space_group_name_Hall 'P 1'
loop_
_atom_site_label
_atom_site_type_symbol
_atom_site_fract_x
_atom_site_fract_y
_atom_site_fract_z
Na1 Na 0.250 0.250 0.250
Na2 Na 0.750 0.750 0.750
F1 F 0.228 0.772 0.772
F2 F 0.772 0.228 0.228
F3 F 0.228 0.772 0.228
F4 F 0.228 0.228 0.772
F5 F 0.772 0.772 0.228
F6 F 0.772 0.228 0.772
Mo1 Mo 0.000 0.000 0.000
K1 K 0.500 0.500 0.500
# Total magnetic moment   3.000 μB/cell


# K2NaMoF6 (GGA+U, optimized geometry)
data_K2NaMoF6
_cell_length_a 6.154
_cell_length_b 6.154
_cell_length_c 6.154
_cell_angle_alpha 60.00
_cell_angle_beta 60.00
_cell_angle_gamma 60.00
_space_group_name_H-M_alt 'P 1'
_space_group_IT_number 1
_space_group_name_Hall 'P 1'
loop_
_atom_site_label
_atom_site_type_symbol
_atom_site_fract_x
_atom_site_fract_y
_atom_site_fract_z
K1 K 0.750 0.750 0.750
K2 K 0.250 0.250 0.250
F1 F 0.759 0.759 0.241
F2 F 0.241 0.759 0.759
F3 F 0.241 0.241 0.759
F4 F 0.759 0.241 0.759
F5 F 0.241 0.759 0.241
F6 F 0.759 0.241 0.241
Mo1 Mo 0.000 0.000 0.000
Na1 Na 0.500 0.500 0.500
# Total magnetic moment   3.000 μB/cell


# KNaMoO2F4 (GGA+U, optimized geometry)
data_KNaMoO2F4
_cell_length_a 6.077
_cell_length_b 6.077
_cell_length_c 8.464
_cell_angle_alpha 90.00
_cell_angle_beta 90.00
_cell_angle_gamma 90.00
_space_group_name_H-M_alt 'P 1'
_space_group_IT_number 1
_space_group_name_Hall 'P 1'
loop_
_atom_site_label
_atom_site_type_symbol
_atom_site_fract_x
_atom_site_fract_y
_atom_site_fract_z
F1 F 0.270 0.230 0.738
F2 F 0.730 0.770 0.738
F3 F 0.770 0.270 0.262
F4 F 0.230 0.730 0.262
F5 F 0.270 0.770 0.738
F6 F 0.730 0.230 0.738
F7 F 0.230 0.270 0.262
F8 F 0.770 0.730 0.262
O1 O 0.000 0.500 0.473
O2 O 0.500 0.000 0.956
O3 O 0.000 0.500 0.044
O4 O 0.500 0.000 0.527
Mo1 Mo 0.000 0.500 0.254
Mo2 Mo 0.500 0.000 0.746
Na1 Na 0.000 0.500 0.773
Na2 Na 0.500 0.000 0.227
K1 K 0.000 0.000 0.500
K2 K 0.500 0.500 0.500
# Total magnetic moment   0.001 μB/cell


# K2NaMoO3F3 (GGA+U, optimized geometry)
data_K2NaMoO3F3
_cell_length_a 6.026
_cell_length_b 6.026
_cell_length_c 8.673
_cell_angle_alpha 90.00
_cell_angle_beta 90.00
_cell_angle_gamma 90.00
_space_group_name_H-M_alt 'P 1'
_space_group_IT_number 1
_space_group_name_Hall 'P 1'
loop_
_atom_site_label
_atom_site_type_symbol
_atom_site_fract_x
_atom_site_fract_y
_atom_site_fract_z
F1 F 0.736 0.736 0.003
F2 F 0.236 0.764 0.503
F3 F 0.264 0.264 0.003
F4 F 0.000 0.000 0.266
F5 F 0.500 0.500 0.766
F6 F 0.764 0.236 0.503
Na1 Na 0.500 0.500 0.505
Na2 Na 0.000 0.000 0.005
O1 O 0.212 0.212 0.481
O2 O 0.788 0.788 0.481
O3 O 0.500 0.500 0.228
O4 O 0.712 0.288 0.981
O5 O 0.288 0.712 0.981
O6 O 0.000 0.000 0.728
K1 K 0.000 0.500 0.758
K2 K 0.500 0.000 0.758
K3 K 0.500 0.000 0.258
K4 K 0.000 0.500 0.258
Mo1 Mo 0.000 0.000 0.523
Mo2 Mo 0.500 0.500 0.023
# Total magnetic moment   0.000 μB/cell
# Largest piezoelectric modulus   0.77 C/m2


# K2NaMoO3F3 (GGA+U, optimized geometry)
data_K2NaMoO3F3
_cell_length_a 6.112
_cell_length_b 6.053
_cell_length_c 6.015
_cell_angle_alpha 60.86
_cell_angle_beta 59.87
_cell_angle_gamma 59.27
_space_group_name_H-M_alt 'P 1'
_space_group_IT_number 1
_space_group_name_Hall 'P 1'
loop_
_atom_site_label
_atom_site_type_symbol
_atom_site_fract_x
_atom_site_fract_y
_atom_site_fract_z
F1 F 0.238 0.767 0.233
F2 F 0.764 0.764 0.236
F3 F 0.767 0.238 0.762
Mo1 Mo 0.021 0.021 0.979
K1 K 0.759 0.759 0.741
K2 K 0.259 0.259 0.241
Na1 Na 0.503 0.503 0.497
O1 O 0.767 0.195 0.233
O2 O 0.195 0.767 0.805
O3 O 0.225 0.225 0.775
# Total magnetic moment   0.000 μB/cell


Number 1: final energy -6.785 eV/atom. Number 2: final energy -5.720 eV/atom. Number 3: final energy -5.721 eV/atom. Number 4: final energy -4.856 eV/atom. Number 5: final energy -4.902 eV/atom. Number 6: final energy -4.933 eV/atom. Number 7: final energy -4.808 eV/atom. Number 8: final energy -4.751 eV/atom. Number 9: final energy -4.962 eV/atom. Number 10: final energy -5.263 eV/atom. Number 11: final energy -5.361 eV/atom. Number 12: final energy -5.361 eV/atom.